# SrBi5O9

A geometry-optimized SrBi5O9 structure (GGA-PBE, the Materials Project).

Results
- Crystal system: triclinic
- ΔE_f: -1.778 eV/atom
- Offset from the most stable computed form: 0.000 eV per atom
- Symmetry: P1, No. 1
- DFT total energy: -86.2 eV per cell
- Volume: 271.6 Å³ per cell

Unit cell a=4.066 b=6.895 c=9.997 alpha=98.18 beta=101.61 gamma=90.08
Sites, in units of the cell vectors:
Bi: 0.179 0.417 0.318
O: 0.470 0.149 0.897
Sr: 0.027 0.001 0.012
Bi: 0.364 0.102 0.683
O: 0.358 0.434 0.664
Bi: 0.862 0.604 0.674
Bi: 0.679 0.876 0.331
O: 0.864 0.940 0.684
O: 0.223 0.738 0.400
O: 0.575 0.833 0.112
O: 0.188 0.093 0.307
O: 0.653 0.517 0.267
O: 0.972 0.638 0.888
Bi: 0.522 0.503 0.013
O: 0.069 0.380 0.097

# SrBi2O4

A geometry-optimized SrBi2O4 structure (GGA-PBE, the Materials Project).

Results
- Crystal system: monoclinic
- ΔE_f: -2.111 eV/atom
- Symmetry: C2/m, No. 12
- DFT total energy: -82.6 eV per cell
- Volume: 284.1 Å³ per cell

Unit cell a=10.369 b=10.369 c=6.440 alpha=83.19 beta=83.19 gamma=24.42
Sites, in units of the cell vectors:
Bi: 0.901 0.901 0.841
Bi: 0.586 0.586 0.723
O: 0.902 0.902 0.180
O: 0.409 0.409 0.941
Sr: 0.759 0.759 0.254
O: 0.098 0.098 0.820
Bi: 0.414 0.414 0.277
O: 0.315 0.315 0.403
Sr: 0.241 0.241 0.746
O: 0.799 0.799 0.864
O: 0.591 0.591 0.059
Bi: 0.099 0.099 0.159
O: 0.685 0.685 0.597
O: 0.201 0.201 0.136

# SrBi5O9

A geometry-optimized SrBi5O9 structure (GGA-PBE, the Materials Project).

Results
- Crystal system: triclinic
- ΔE_f: -1.761 eV/atom
- Offset from the most stable computed form: 0.017 eV per atom
- Symmetry: P1, No. 1
- DFT total energy: -85.9 eV per cell
- Volume: 286.3 Å³ per cell

Unit cell a=3.903 b=7.008 c=10.702 alpha=97.10 beta=99.68 gamma=89.87
Sites, in units of the cell vectors:
O: 0.051 0.366 0.098
O: 0.645 0.224 0.295
O: 0.374 0.816 0.701
O: 0.456 0.157 0.899
Bi: 0.368 0.125 0.695
O: 0.961 0.652 0.899
Bi: 0.651 0.894 0.314
O: 0.155 0.725 0.325
Bi: 0.494 0.494 0.977
O: 0.558 0.846 0.115
O: 0.396 0.450 0.751
Bi: 0.145 0.393 0.298
Sr: 0.007 0.997 0.008
O: 0.831 0.160 0.614
Bi: 0.857 0.613 0.696

# Sr6Bi2O11

A geometry-optimized Sr6Bi2O11 structure (GGA-PBE, the Materials Project).

Results
- Crystal system: monoclinic
- ΔE_f: -2.419 eV/atom
- Offset from the most stable computed form: 0.043 eV per atom
- Symmetry: P2_1/m, No. 11
- DFT total energy: -221.5 eV per cell
- Volume: 655.0 Å³ per cell

Unit cell a=8.583 b=8.618 c=8.856 alpha=89.87 beta=90.00 gamma=90.00
Sites, in units of the cell vectors:
O: 0.250 0.498 0.491
O: 0.503 0.751 0.485
O: 0.750 0.253 0.799
Bi: 0.250 0.749 0.964
Sr: 0.250 0.751 0.578
O: 0.519 0.250 0.119
Sr: 0.487 0.982 0.283
O: 0.497 0.249 0.515
O: 0.750 0.755 0.266
O: 0.481 0.750 0.881
Sr: 0.016 0.513 0.284
Bi: 0.750 0.749 0.499
O: 0.750 0.018 0.111
Sr: 0.250 0.250 0.001
Sr: 0.987 0.018 0.717
O: 0.750 0.997 0.516
Sr: 0.750 0.750 0.999
O: 0.250 0.517 0.885
O: 0.997 0.751 0.485
O: 0.250 0.982 0.889
Sr: 0.984 0.487 0.716
O: 0.981 0.250 0.119
O: 0.250 0.747 0.201
Bi: 0.250 0.251 0.501
O: 0.750 0.741 0.732
Sr: 0.484 0.513 0.284
O: 0.750 0.483 0.115
O: 0.750 0.502 0.509
Bi: 0.750 0.251 0.036
O: 0.250 0.003 0.484
O: 0.250 0.245 0.734
Sr: 0.513 0.018 0.717
Sr: 0.516 0.487 0.716
O: 0.003 0.249 0.515
Sr: 0.013 0.982 0.283
O: 0.019 0.750 0.881
Sr: 0.750 0.249 0.422
O: 0.250 0.259 0.268

# Sr2TbBiO6

A geometry-optimized Sr2TbBiO6 structure (GGA-PBE, the Materials Project).

Results
- Crystal system: cubic
- ΔE_f: -2.747 eV/atom
- Symmetry: Fm-3m, No. 225
- DFT total energy: -64.9 eV per cell
- Volume: 160.2 Å³ per cell

Unit cell a=6.096 b=6.096 c=6.096 alpha=60.00 beta=60.00 gamma=60.00
Sites, in units of the cell vectors:
O: 0.756 0.756 0.244
O: 0.244 0.244 0.756
Bi: 0.000 0.000 0.000
Tb: 0.500 0.500 0.500
Sr: 0.250 0.250 0.250
O: 0.756 0.244 0.244
Sr: 0.750 0.750 0.750
O: 0.756 0.244 0.756
O: 0.244 0.756 0.244
O: 0.244 0.756 0.756

# Sr2TbBiO6

A geometry-optimized Sr2TbBiO6 structure (GGA-PBE, the Materials Project).

Results
- Crystal system: cubic
- ΔE_f: -2.815 eV/atom
- Symmetry: Pn-3, No. 201
- DFT total energy: -262.5 eV per cell
- Volume: 625.3 Å³ per cell

Unit cell a=8.551 b=8.551 c=8.551 alpha=90.00 beta=90.00 gamma=90.00
Sites, in units of the cell vectors:
O: 0.007 0.286 0.795
O: 0.007 0.714 0.205
Tb: 0.750 0.250 0.750
Sr: 0.500 0.000 0.000
O: 0.286 0.795 0.007
Bi: 0.750 0.750 0.750
O: 0.714 0.205 0.007
O: 0.295 0.507 0.214
O: 0.507 0.786 0.705
Bi: 0.750 0.250 0.250
O: 0.714 0.795 0.993
Sr: 0.000 0.500 0.000
O: 0.493 0.786 0.295
Tb: 0.250 0.750 0.750
O: 0.993 0.714 0.795
Tb: 0.250 0.250 0.250
O: 0.214 0.295 0.507
Bi: 0.250 0.750 0.250
O: 0.507 0.214 0.295
O: 0.705 0.507 0.786
O: 0.205 0.007 0.714
O: 0.493 0.214 0.705
O: 0.786 0.295 0.493
O: 0.286 0.205 0.993
Sr: 0.500 0.500 0.500
O: 0.786 0.705 0.507
O: 0.795 0.007 0.286
Sr: 0.500 0.000 0.500
Sr: 0.000 0.000 0.500
Sr: 0.000 0.000 0.000
Sr: 0.000 0.500 0.500
Tb: 0.750 0.750 0.250
O: 0.295 0.493 0.786
O: 0.205 0.993 0.286
O: 0.795 0.993 0.714
Sr: 0.500 0.500 0.000
Bi: 0.250 0.250 0.750
O: 0.214 0.705 0.493
O: 0.705 0.493 0.214
O: 0.993 0.286 0.205

# Sr2TiBiO6

A geometry-optimized Sr2TiBiO6 structure (GGA-PBE, the Materials Project).

Results
- Crystal system: cubic
- ΔE_f: -2.775 eV/atom
- Symmetry: Fm-3m, No. 225
- DFT total energy: -68.5 eV per cell
- Volume: 144.0 Å³ per cell

Unit cell a=5.884 b=5.884 c=5.884 alpha=60.00 beta=60.00 gamma=60.00
Sites, in units of the cell vectors:
Bi: 0.000 0.000 0.000
O: 0.264 0.736 0.264
O: 0.736 0.736 0.264
O: 0.736 0.264 0.264
Ti: 0.500 0.500 0.500
O: 0.736 0.264 0.736
O: 0.264 0.264 0.736
O: 0.264 0.736 0.736
Sr: 0.250 0.250 0.250
Sr: 0.750 0.750 0.750

# SrTi4Bi4O15

A geometry-optimized SrTi4Bi4O15 structure (GGA-PBE, the Materials Project).

Results
- Crystal system: orthorhombic
- ΔE_f: -2.757 eV/atom
- Symmetry: Cmc2_1, No. 36
- DFT total energy: -357.8 eV per cell
- Volume: 629.5 Å³ per cell

Unit cell a=20.788 b=20.788 c=5.556 alpha=90.00 beta=90.00 gamma=164.80
Sites, in units of the cell vectors:
Bi: 0.346 0.141 0.218
O: 0.883 0.494 0.285
Bi: 0.499 0.060 0.233
Bi: 0.141 0.346 0.218
O: 0.625 0.349 0.527
O: 0.746 0.243 0.500
O: 0.375 0.651 0.027
O: 0.907 0.716 0.317
Ti: 0.204 0.300 0.769
O: 0.284 0.093 0.817
O: 0.178 0.881 0.069
Bi: 0.654 0.859 0.718
O: 0.515 0.408 0.091
Ti: 0.300 0.204 0.769
O: 0.074 0.989 0.525
O: 0.408 0.515 0.091
O: 0.716 0.907 0.317
O: 0.881 0.178 0.069
Ti: 0.901 0.597 0.270
O: 0.011 0.926 0.025
O: 0.700 0.700 0.304
O: 0.506 0.117 0.785
O: 0.485 0.592 0.591
O: 0.093 0.284 0.817
Bi: 0.859 0.654 0.718
O: 0.243 0.746 0.500
O: 0.926 0.011 0.025
O: 0.757 0.254 0.000
O: 0.119 0.822 0.569
O: 0.822 0.119 0.569
Ti: 0.796 0.700 0.269
Ti: 0.403 0.099 0.770
Bi: 0.940 0.501 0.733
O: 0.494 0.883 0.285
Bi: 0.501 0.940 0.733
O: 0.349 0.625 0.527
Sr: 0.242 0.242 0.261
Bi: 0.060 0.499 0.233
Ti: 0.597 0.901 0.270
O: 0.300 0.300 0.804
O: 0.989 0.074 0.525
Sr: 0.758 0.758 0.761
O: 0.254 0.757 0.000
O: 0.651 0.375 0.027
Ti: 0.700 0.796 0.269
O: 0.117 0.506 0.785
Ti: 0.099 0.403 0.770
O: 0.592 0.485 0.591

# Sr2Ti5Bi4O18

A geometry-optimized Sr2Ti5Bi4O18 structure (GGA-PBE, the Materials Project).

Results
- Crystal system: triclinic
- ΔE_f: -2.889 eV/atom
- Symmetry: P1, No. 1
- DFT total energy: -437.8 eV per cell
- Volume: 753.7 Å³ per cell

Unit cell a=5.508 b=5.538 c=24.862 alpha=96.30 beta=90.08 gamma=90.32
Sites, in units of the cell vectors:
O: 0.716 0.840 0.154
O: 0.249 0.510 0.502
Ti: 0.507 0.925 0.833
Ti: 0.010 0.439 0.835
O: 0.244 0.427 0.314
Bi: 0.520 0.425 0.913
Bi: 0.470 0.730 0.449
Sr: 0.502 0.385 0.749
O: 0.222 0.190 0.847
O: 0.255 0.927 0.314
Sr: 0.995 0.055 0.082
Bi: 0.972 0.778 0.552
Sr: 0.505 0.552 0.081
O: 0.771 0.964 0.329
O: 0.235 0.620 0.672
O: 0.059 0.717 0.408
O: 0.748 0.290 0.008
O: 0.285 0.677 0.850
O: 0.747 0.791 0.008
O: 0.935 0.495 0.921
O: 0.749 0.508 0.498
Bi: 0.017 0.846 0.736
O: 0.747 0.610 0.683
O: 0.554 0.812 0.591
O: 0.447 0.898 0.760
O: 0.542 0.023 0.921
O: 0.291 0.418 0.170
O: 0.456 0.082 0.082
O: 0.781 0.340 0.154
O: 0.243 0.787 0.995
Ti: 0.997 0.334 0.662
Ti: 0.003 0.591 0.161
O: 0.254 0.110 0.672
O: 0.751 0.008 0.499
O: 0.940 0.675 0.241
Bi: 0.990 0.082 0.254
O: 0.034 0.434 0.760
O: 0.442 0.216 0.408
O: 0.728 0.464 0.329
Ti: 0.002 0.516 0.001
Ti: 0.497 0.176 0.337
O: 0.945 0.313 0.591
O: 0.757 0.102 0.683
O: 0.041 0.580 0.082
Bi: 0.028 0.228 0.449
O: 0.558 0.175 0.241
Ti: 0.508 0.851 0.662
Ti: 0.500 0.012 0.002
Ti: 0.004 0.676 0.337
O: 0.702 0.251 0.835
O: 0.788 0.746 0.833
Sr: 0.008 0.967 0.919
Bi: 0.530 0.280 0.551
O: 0.251 0.010 0.502
Ti: 0.499 0.090 0.162
O: 0.249 0.287 0.994
Bi: 0.511 0.582 0.254
O: 0.208 0.918 0.170

# Sr2TmBiO6

A geometry-optimized Sr2TmBiO6 structure (GGA-PBE, the Materials Project).

Results
- Crystal system: monoclinic
- ΔE_f: -2.883 eV/atom
- Symmetry: P2_1/c, No. 14
- DFT total energy: -132.3 eV per cell
- Volume: 301.5 Å³ per cell

Unit cell a=5.910 b=6.053 c=8.428 alpha=90.00 beta=90.07 gamma=90.00
Sites, in units of the cell vectors:
O: 0.799 0.287 0.950
Sr: 0.988 0.545 0.748
Tm: 0.000 0.000 0.500
O: 0.591 0.533 0.255
O: 0.299 0.213 0.450
Sr: 0.512 0.045 0.752
Sr: 0.012 0.455 0.252
O: 0.409 0.467 0.745
O: 0.909 0.033 0.245
Bi: 0.500 0.500 0.500
O: 0.701 0.787 0.550
O: 0.210 0.703 0.454
O: 0.790 0.297 0.546
O: 0.201 0.713 0.050
Tm: 0.500 0.500 0.000
Bi: 0.000 0.000 0.000
Sr: 0.488 0.955 0.248
O: 0.710 0.797 0.954
O: 0.290 0.203 0.046
O: 0.091 0.967 0.755

# Sr2YBiO6

A geometry-optimized Sr2YBiO6 structure (GGA-PBE, the Materials Project).

Results
- Crystal system: cubic
- ΔE_f: -2.812 eV/atom
- Symmetry: Pn-3, No. 201
- DFT total energy: -269.7 eV per cell
- Volume: 624.5 Å³ per cell

Unit cell a=8.548 b=8.548 c=8.548 alpha=90.00 beta=90.00 gamma=90.00
Sites, in units of the cell vectors:
O: 0.785 0.294 0.493
O: 0.206 0.007 0.715
Y: 0.250 0.750 0.750
Sr: 0.000 0.000 0.000
O: 0.206 0.993 0.285
Sr: 0.500 0.500 0.000
O: 0.794 0.007 0.285
Y: 0.250 0.250 0.250
O: 0.706 0.507 0.785
Sr: 0.500 0.000 0.500
Sr: 0.000 0.000 0.500
Bi: 0.250 0.750 0.250
Y: 0.750 0.750 0.250
O: 0.507 0.215 0.294
O: 0.993 0.715 0.794
O: 0.507 0.785 0.706
O: 0.794 0.993 0.715
Bi: 0.250 0.250 0.750
O: 0.715 0.794 0.993
O: 0.215 0.706 0.493
O: 0.007 0.285 0.794
O: 0.294 0.507 0.215
O: 0.007 0.715 0.206
Sr: 0.000 0.500 0.500
O: 0.285 0.794 0.007
O: 0.715 0.206 0.007
O: 0.993 0.285 0.206
Sr: 0.500 0.500 0.500
Bi: 0.750 0.750 0.750
O: 0.493 0.785 0.294
Bi: 0.750 0.250 0.250
O: 0.215 0.294 0.507
O: 0.294 0.493 0.785
Sr: 0.000 0.500 0.000
Y: 0.750 0.250 0.750
O: 0.493 0.215 0.706
Sr: 0.500 0.000 0.000
O: 0.706 0.493 0.215
O: 0.285 0.206 0.993
O: 0.785 0.706 0.507

# Sr2YBi2O7

A geometry-optimized Sr2YBi2O7 structure (GGA-PBE, the Materials Project).

Results
- Crystal system: orthorhombic
- ΔE_f: -2.385 eV/atom
- Symmetry: Ima2, No. 46
- DFT total energy: -152.1 eV per cell
- Volume: 490.8 Å³ per cell

Unit cell a=15.449 b=15.449 c=15.449 alpha=30.46 beta=158.91 gamma=158.27
Sites, in units of the cell vectors:
Sr: 0.871 0.780 0.708
Bi: 0.512 0.433 0.918
O: 0.512 0.302 0.302
O: 0.458 0.498 0.460
Bi: 0.515 0.595 0.082
O: 0.550 0.253 0.603
Bi: 0.515 0.933 0.421
O: 0.650 0.753 0.203
O: 0.000 0.210 0.698
O: 0.995 0.700 0.206
Y: 0.004 0.504 0.500
O: 0.550 0.448 0.797
Sr: 0.072 0.163 0.292
O: 0.038 0.998 0.540
Sr: 0.871 0.663 0.591
Y: 0.004 0.004 0.000
Bi: 0.512 0.095 0.579
O: 0.494 0.789 0.794
O: 0.494 0.200 0.204
O: 0.650 0.948 0.397
O: 0.000 0.802 0.290
O: 0.995 0.289 0.796
O: 0.512 0.710 0.710
Sr: 0.072 0.280 0.409

# Sr2YBiO6

A geometry-optimized Sr2YBiO6 structure (GGA-PBE, the Materials Project).

Results
- Crystal system: cubic
- ΔE_f: -2.745 eV/atom
- Symmetry: Fm-3m, No. 225
- DFT total energy: -66.8 eV per cell
- Volume: 159.7 Å³ per cell

Unit cell a=6.089 b=6.089 c=6.089 alpha=60.00 beta=60.00 gamma=60.00
Sites, in units of the cell vectors:
O: 0.244 0.756 0.756
O: 0.756 0.244 0.244
Y: 0.500 0.500 0.500
Sr: 0.250 0.250 0.250
O: 0.756 0.756 0.244
Bi: 0.000 0.000 0.000
O: 0.244 0.244 0.756
O: 0.244 0.756 0.244
Sr: 0.750 0.750 0.750
O: 0.756 0.244 0.756